No. 1
The following is a GGA-PBE calculation of a geometry-optimized MgZn2Sb2 structure, from Materials Project.

```
data_MgZn2Sb2
_chemical_formula_sum 'Mg1 Zn2 Sb2'
_symmetry_space_group_name_H-M 'P -3 m 1'
_symmetry_Int_Tables_number 164
_symmetry_space_group_name_Hall '-P 3 2"'
_cell_length_a 4.3852
_cell_length_b 4.3852
_cell_length_c 7.2360
_cell_angle_alpha 90.00
_cell_angle_beta 90.00
_cell_angle_gamma 120.00
loop_
_atom_site_label
_atom_site_type_symbol
_atom_site_fract_x
_atom_site_fract_y
_atom_site_fract_z
Mg1 Mg 0.0000 0.0000 0.0000
Zn1 Zn 0.3333 0.6667 0.6210
Sb1 Sb 0.3333 0.6667 0.2341
```

E_tot, eV per cell: -13.0
DFT formation energy, meV/atom: -197.8

***

No. 2
The following is a GGA-PBE calculation of a geometry-optimized K8Al2O7 structure, from Materials Project.

```
data_K8Al2O7
_chemical_formula_sum 'K32 Al8 O28'
_symmetry_space_group_name_H-M 'P 1 21/c 1'
_symmetry_Int_Tables_number 14
_symmetry_space_group_name_Hall '-P 2ybc'
_cell_length_a 9.557
_cell_length_b 12.241
_cell_length_c 11.259
_cell_angle_alpha 90.00
_cell_angle_beta 107.97
_cell_angle_gamma 90.00
loop_
_atom_site_label
_atom_site_type_symbol
_atom_site_fract_x
_atom_site_fract_y
_atom_site_fract_z
K1 K 0.005 0.228 0.129
K2 K 0.073 0.033 0.642
K3 K 0.164 0.508 0.482
K4 K 0.209 0.243 0.431
K5 K 0.254 0.558 0.788
K6 K 0.384 0.024 0.576
K7 K 0.395 0.741 0.469
K8 K 0.420 0.039 0.857
Al1 Al 0.205 0.708 0.160
Al2 Al 0.415 0.201 0.232
O1 O 0.080 0.674 0.618
O2 O 0.176 0.624 0.021
O3 O 0.181 0.625 0.286
O4 O 0.284 0.187 0.695
O5 O 0.387 0.117 0.092
O6 O 0.396 0.736 0.719
O7 O 0.399 0.121 0.362
```

E_tot, eV per cell: -324.6
DFT formation energy, meV/atom: -2056.1
Total magnetization, μB per cell: 0.000

***

No. 3
The following is a GGA-PBE calculation of a geometry-optimized TiCl3 structure, from Materials Project.

```
data_TiCl3
_chemical_formula_sum 'Ti2 Cl6'
_symmetry_space_group_name_H-M 'P -3 1 m'
_symmetry_Int_Tables_number 162
_symmetry_space_group_name_Hall '-P 3 2'
_cell_length_a 6.1385
_cell_length_b 6.1385
_cell_length_c 6.3500
_cell_angle_alpha 90.00
_cell_angle_beta 90.00
_cell_angle_gamma 120.00
loop_
_atom_site_label
_atom_site_type_symbol
_atom_site_fract_x
_atom_site_fract_y
_atom_site_fract_z
Ti1 Ti 0.3333 0.6667 0.0000
Cl1 Cl 0.0000 0.3570 0.7781
```

E_tot, eV per cell: -39.5
DFT formation energy, meV/atom: -2043.0
Total magnetization, μB per cell: 2.000

***

No. 4
The following is a GGA-PBE calculation of a geometry-optimized RbTbO3 structure, from Materials Project.

```
data_RbTbO3
_chemical_formula_sum 'Rb1 Tb1 O3'
_symmetry_space_group_name_H-M 'P m -3 m'
_symmetry_Int_Tables_number 221
_symmetry_space_group_name_Hall '-P 4 2 3'
_cell_length_a 4.535
_cell_length_b 4.535
_cell_length_c 4.535
_cell_angle_alpha 90.00
_cell_angle_beta 90.00
_cell_angle_gamma 90.00
loop_
_atom_site_label
_atom_site_type_symbol
_atom_site_fract_x
_atom_site_fract_y
_atom_site_fract_z
Rb1 Rb 0.000 0.000 0.000
Tb1 Tb 0.500 0.500 0.500
O1 O 0.000 0.500 0.500
```

E_tot, eV per cell: -29.8
DFT formation energy, meV/atom: -2271.8
Total magnetization, μB per cell: 2.000

***

No. 5
The following is a GGA-PBE calculation of a geometry-optimized AcTe3 structure, from Materials Project.

```
data_AcTe3
_chemical_formula_sum 'Ac2 Te6'
_symmetry_space_group_name_H-M 'I 4/m m m'
_symmetry_Int_Tables_number 139
_symmetry_space_group_name_Hall '-I 4 2'
_cell_length_a 4.694
_cell_length_b 4.694
_cell_length_c 11.671
_cell_angle_alpha 90.00
_cell_angle_beta 90.00
_cell_angle_gamma 90.00
loop_
_atom_site_label
_atom_site_type_symbol
_atom_site_fract_x
_atom_site_fract_y
_atom_site_fract_z
Ac1 Ac 0.000 0.000 0.000
Te1 Te 0.000 0.000 0.500
Te2 Te 0.000 0.500 0.250
```

E_tot, eV per cell: -34.2
DFT formation energy, meV/atom: -1202.6

***

No. 6
The following is a GGA-PBE calculation of a geometry-optimized Mg14CuSn structure, from Materials Project.

```
data_Mg14CuSn
_chemical_formula_sum 'Mg14 Cu1 Sn1'
_symmetry_space_group_name_H-M 'P -6 m 2'
_symmetry_Int_Tables_number 187
_symmetry_space_group_name_Hall 'P -6 2'
_cell_length_a 6.2657
_cell_length_b 6.2657
_cell_length_c 10.3271
_cell_angle_alpha 90.00
_cell_angle_beta 90.00
_cell_angle_gamma 120.00
loop_
_atom_site_label
_atom_site_type_symbol
_atom_site_fract_x
_atom_site_fract_y
_atom_site_fract_z
Mg1 Mg 0.0000 0.0000 0.2482
Mg2 Mg 0.0050 0.5025 0.2399
Mg3 Mg 0.3304 0.1652 0.0000
Mg4 Mg 0.3342 0.1671 0.5000
Cu1 Cu 0.3333 0.6667 0.0000
Sn1 Sn 0.3333 0.6667 0.5000
```

E_tot, eV per cell: -30.7
DFT formation energy, meV/atom: -13.0
Total magnetization, μB per cell: 0.000

***

No. 7
The following is a GGA-PBE calculation of a geometry-optimized Zr2N2O structure, from Materials Project.

```
data_Zr2N2O
_chemical_formula_sum 'Zr16 N16 O8'
_symmetry_space_group_name_H-M 'C 1 2/m 1'
_symmetry_Int_Tables_number 12
_symmetry_space_group_name_Hall '-C 2y'
_cell_length_a 10.763
_cell_length_b 3.274
_cell_length_c 17.200
_cell_angle_alpha 90.00
_cell_angle_beta 105.65
_cell_angle_gamma 90.00
loop_
_atom_site_label
_atom_site_type_symbol
_atom_site_fract_x
_atom_site_fract_y
_atom_site_fract_z
Zr1 Zr 0.001 0.000 0.332
Zr2 Zr 0.226 0.000 0.575
Zr3 Zr 0.231 0.000 0.243
Zr4 Zr 0.240 0.000 0.915
N1 N 0.119 0.500 0.631
N2 N 0.122 0.500 0.297
N3 N 0.155 0.000 0.782
N4 N 0.156 0.000 0.446
O1 O 0.153 0.500 0.957
O2 O 0.155 0.000 0.119
```

E_tot, eV per cell: -388.2
DFT formation energy, meV/atom: -2099.8
Total magnetization, μB per cell: 0.001

***

No. 8
The following is a GGA-PBE calculation of a geometry-optimized Ti2ZnS5 structure, from Materials Project.

```
data_Ti2ZnS5
_chemical_formula_sum 'Ti4 Zn2 S10'
_symmetry_space_group_name_H-M 'P m m n'
_symmetry_Int_Tables_number 59
_cell_length_a 3.837
_cell_length_b 14.964
_cell_length_c 6.010
_cell_angle_alpha 90.00
_cell_angle_beta 90.00
_cell_angle_gamma 90.00
loop_
_symmetry_equiv_pos_as_xyz
'x,y,z'
'-x,-y,-z'
'-x+1/2,-y+1/2,z'
'x+1/2,y+1/2,-z'
'x+1/2,-y,-z'
'-x+1/2,y,z'
'-x,y+1/2,-z'
'x,-y+1/2,z'
loop_
_atom_site_label
_atom_site_type_symbol
_atom_site_fract_x
_atom_site_fract_y
_atom_site_fract_z
Ti1 Ti 0.250 0.098 0.069
Zn1 Zn 0.250 0.750 0.388
S1 S 0.250 0.145 0.415
S2 S 0.250 0.250 0.900
S3 S 0.250 0.565 0.144
```

E_tot, eV per cell: -88.9
DFT formation energy, meV/atom: -1152.6
Total magnetization, μB per cell: 0.004

***

- What is the DFT formation energy in the first record?
  -197.8 meV/atom